Rb3FeO3 | GGA+U | relaxed

- calculated total energy (eV/cell) = -129.12
- mass density (Mg/m³) = 3.36
- E_form (eV per atom) = -1.48
- distance to the lowest polymorph of the same formula (kJ/mol of atoms) = 10.6

Unit cell a=12.5011 b=5.0427 c=11.5868 alpha=77.03 beta=90.00 gamma=90.00
Fractional positions:
Rb (0.4151, 0.8952, 0.6388)
Fe (0.1824, 0.1946, 0.7430)
Rb (0.7345, 0.4912, 0.5371)
O (0.5886, 0.7670, 0.8827)
O (0.4114, 0.2330, 0.1173)
O (0.1850, 0.3581, 0.2167)
Fe (0.8176, 0.8054, 0.2570)
O (0.1367, 0.0485, 0.8929)
O (0.9114, 0.7670, 0.3827)
Rb (0.5849, 0.1048, 0.3612)
Rb (0.5105, 0.7300, 0.1233)
Fe (0.6824, 0.8054, 0.7570)
Rb (0.0849, 0.8952, 0.1388)
Fe (0.3176, 0.1946, 0.2430)
Rb (0.0105, 0.2700, 0.3767)
Rb (0.7655, 0.4912, 0.0371)
Rb (0.2655, 0.5088, 0.4629)
O (0.3633, 0.0485, 0.3929)
O (0.8633, 0.9515, 0.1071)
O (0.0886, 0.2330, 0.6173)
O (0.8150, 0.6419, 0.7833)
Rb (0.4895, 0.2700, 0.8767)
Rb (0.2345, 0.5088, 0.9629)
Rb (0.9151, 0.1048, 0.8612)
O (0.3150, 0.3581, 0.7167)
O (0.6850, 0.6419, 0.2833)
O (0.6367, 0.9515, 0.6071)
Rb (0.9895, 0.7300, 0.6233)

=====

TiMn3O8 | GGA+U | relaxed

- calculated total energy (eV/cell) = -90.32
- mass density (Mg/m³) = 3.84
- E_form (eV per atom) = -2.15
- distance to the lowest polymorph of the same formula (kJ/mol of atoms) = 3.2

Unit cell a=5.9692 b=5.9692 c=5.9692 alpha=59.13 beta=59.13 gamma=59.13
Fractional positions:
O (0.2347, 0.2347, 0.7265)
Mn (0.5000, 0.0000, 0.5000)
O (0.7653, 0.2735, 0.7653)
O (0.7319, 0.7319, 0.7319)
Mn (0.5000, 0.5000, 0.0000)
O (0.7653, 0.7653, 0.2735)
O (0.2347, 0.7265, 0.2347)
O (0.2681, 0.2681, 0.2681)
Mn (0.0000, 0.5000, 0.5000)
O (0.7265, 0.2347, 0.2347)
Ti (0.0000, 0.0000, 0.0000)
O (0.2735, 0.7653, 0.7653)

=====

Ba2Mn4Tl2Zn3O12 | GGA+U | relaxed

- calculated total energy (eV/cell) = -132.95
- mass density (Mg/m³) = 6.30
- E_form (eV per atom) = -1.72

Unit cell a=3.8491 b=3.8491 c=23.1472 alpha=94.77 beta=94.77 gamma=90.00
Fractional positions:
Zn (0.0792, 0.0792, 0.1585)
O (0.4697, 0.9697, 0.9393)
Tl (0.2751, 0.2751, 0.5503)
O (0.0968, 0.5968, 0.1935)
O (0.0303, 0.5303, 0.0607)
Ba (0.8360, 0.8360, 0.6720)
O (0.4032, 0.9032, 0.8065)
O (0.3459, 0.3459, 0.6918)
O (0.5303, 0.0303, 0.0607)
Mn (0.4640, 0.4640, 0.9281)
Mn (0.3905, 0.3905, 0.7810)
Zn (0.9208, 0.9208, 0.8415)
Ba (0.1640, 0.1640, 0.3280)
O (0.9697, 0.4697, 0.9393)
O (0.2214, 0.2214, 0.4428)
Zn (0.0000, 0.0000, 0.0000)
Tl (0.7249, 0.7249, 0.4497)
O (0.5968, 0.0968, 0.1935)
Mn (0.6095, 0.6095, 0.2190)
O (0.7786, 0.7786, 0.5572)
O (0.6541, 0.6541, 0.3082)
O (0.9032, 0.4032, 0.8065)
Mn (0.5360, 0.5360, 0.0719)

=====

NaAl5FeP4H10O24 | GGA+U | relaxed

- calculated total energy (eV/cell) = -586.81
- mass density (Mg/m³) = 2.95
- E_form (eV per atom) = -2.43

Unit cell a=5.0985 b=12.9115 c=13.6507 alpha=110.57 beta=90.00 gamma=101.39
Fractional positions:
O (0.1998, 0.1500, 0.5668)
O (0.7971, 0.0424, 0.4018)
H (0.5484, 0.3094, 0.5223)
O (0.5368, 0.1601, 0.3415)
O (0.0359, 0.1835, 0.3260)
P (0.9482, 0.4309, 0.3265)
O (0.5685, 0.6485, 0.2902)
P (0.8050, 0.1618, 0.3946)
Al (0.9173, 0.2817, 0.8499)
Al (0.0000, 0.0000, 0.5000)
O (0.2029, 0.9576, 0.5982)
O (0.9641, 0.8165, 0.6740)
O (0.4632, 0.8399, 0.6585)
O (0.6183, 0.7420, 0.7964)
O (0.3804, 0.3309, 0.5065)
Na (0.1464, 0.0000, 0.2500)
O (0.8763, 0.2580, 0.7036)
O (0.3078, 0.6099, 0.1204)
H (0.4652, 0.0081, 0.0949)
Al (0.0000, 0.0000, 0.0000)
O (0.9502, 0.1500, 0.0668)
P (0.5173, 0.5691, 0.1735)
H (0.5348, 0.9919, 0.9051)
O (0.6979, 0.3901, 0.3796)
O (0.6972, 0.9579, 0.8978)
H (0.7217, 0.2920, 0.6963)
O (0.3021, 0.6099, 0.6204)
O (0.8002, 0.8500, 0.4332)
H (0.2243, 0.8712, 0.3602)
O (0.2120, 0.4159, 0.8782)
O (0.3028, 0.0421, 0.1022)
O (0.0800, 0.6485, 0.7902)
O (0.9505, 0.3309, 0.0065)
O (0.1555, 0.7480, 0.4940)
H (0.3532, 0.1288, 0.1398)
O (0.3817, 0.2580, 0.2036)
H (0.4297, 0.7080, 0.8037)
O (0.6196, 0.6691, 0.4935)
O (0.8524, 0.8165, 0.1740)
H (0.2390, 0.6906, 0.9777)
O (0.4100, 0.4452, 0.1571)
H (0.6955, 0.8470, 0.3722)
H (0.2783, 0.7080, 0.3037)
H (0.4516, 0.6906, 0.4777)
Al (0.1711, 0.3035, 0.1085)
Al (0.8289, 0.6965, 0.8915)
H (0.1515, 0.8470, 0.8722)
Fe (0.5000, 0.5000, 0.5000)
O (0.9648, 0.5548, 0.3429)
H (0.8485, 0.1530, 0.1278)
P (0.3567, 0.1618, 0.8946)
O (0.5925, 0.7480, 0.9940)
P (0.4827, 0.4309, 0.8265)
Fe (0.0000, 0.5000, 0.0000)
O (0.0352, 0.4452, 0.6571)
Na (0.8536, 0.0000, 0.7500)
Al (0.3644, 0.2817, 0.3499)
O (0.0498, 0.8500, 0.9332)
H (0.4572, 0.9919, 0.4051)
H (0.3045, 0.1530, 0.6278)
H (0.6468, 0.8712, 0.8602)
O (0.2453, 0.0424, 0.9018)
P (0.1950, 0.8382, 0.6054)
H (0.5429, 0.0081, 0.5949)
Al (0.8676, 0.6965, 0.3915)
O (0.4075, 0.2520, 0.0060)
O (0.5900, 0.5548, 0.8429)
Al (0.6356, 0.7183, 0.6501)
O (0.2607, 0.9579, 0.3978)
O (0.8445, 0.2520, 0.5060)
H (0.7757, 0.1288, 0.6398)
H (0.7610, 0.3094, 0.0223)
O (0.1476, 0.1835, 0.8260)
O (0.6922, 0.3901, 0.8796)
Al (0.1324, 0.3035, 0.6085)
O (0.4315, 0.3515, 0.7098)
O (0.9200, 0.3515, 0.2098)
O (0.3767, 0.8399, 0.1585)
O (0.2039, 0.4159, 0.3782)
O (0.1237, 0.7420, 0.2964)
P (0.6433, 0.8382, 0.1054)
O (0.7547, 0.9576, 0.0982)
P (0.0518, 0.5691, 0.6735)
Al (0.0827, 0.7183, 0.1501)
O (0.7961, 0.5841, 0.6218)
O (0.6233, 0.1601, 0.8415)
O (0.7880, 0.5841, 0.1218)
O (0.0495, 0.6691, 0.9935)
H (0.5703, 0.2920, 0.1963)
O (0.7393, 0.0421, 0.6022)

=====

Mn2ZnO4 | GGA+U | relaxed

- calculated total energy (eV/cell) = -92.90
- mass density (Mg/m³) = 4.97
- E_form (eV per atom) = -1.88
- distance to the lowest polymorph of the same formula (kJ/mol of atoms) = 9.9

Unit cell a=6.1303 b=6.1303 c=6.1303 alpha=121.19 beta=121.07 gamma=88.06
Fractional positions:
Zn (0.5000, 0.5000, 0.0000)
O (0.7829, 0.7519, 0.0310)
O (0.7791, 0.2481, 0.5310)
O (0.2171, 0.2481, 0.9690)
Mn (0.0000, 0.0000, 0.5000)
Mn (0.3618, 0.1118, 0.2500)
O (0.2209, 0.7519, 0.4690)
O (0.7791, 0.2951, 0.0160)
O (0.7791, 0.7631, 0.4840)
O (0.2209, 0.2369, 0.5160)
Zn (0.0000, 0.5000, 0.5000)
O (0.2209, 0.7049, 0.9840)
Mn (0.6382, 0.8882, 0.7500)
Mn (0.0000, 0.5000, 0.0000)

=====

Li2FeH4S2O10 | GGA+U | relaxed

- calculated total energy (eV/cell) = -217.46
- mass density (Mg/m³) = 2.54
- E_form (eV per atom) = -1.80

Unit cell a=5.5842 b=7.4250 c=10.5316 alpha=101.96 beta=98.69 gamma=110.07
Fractional positions:
Li (0.7920, 0.2267, 0.5802)
S (0.8674, 0.7298, 0.0650)
H (0.4908, 0.8111, 0.7152)
O (0.6640, 0.8414, 0.5831)
H (0.6647, 0.1989, 0.7943)
S (0.8465, 0.7379, 0.5702)
S (0.1326, 0.2702, 0.9350)
O (0.5688, 0.2106, 0.7091)
O (0.4607, 0.7775, 0.7996)
O (0.8439, 0.1598, 0.9196)
Fe (0.4959, 0.4849, 0.7509)
O (0.2210, 0.4153, 0.0731)
O (0.7790, 0.5847, 0.9269)
O (0.1631, 0.3899, 0.8344)
O (0.8413, 0.6197, 0.6708)
Li (0.8699, 0.2939, 0.1331)
O (0.2774, 0.1408, 0.9221)
O (0.3360, 0.1586, 0.4169)
O (0.2268, 0.4028, 0.5681)
O (0.4312, 0.7894, 0.2909)
H (0.3991, 0.0932, 0.6788)
H (0.6091, 0.8836, 0.8699)
Li (0.2080, 0.7733, 0.4198)
Li (0.1301, 0.7061, 0.8669)
O (0.1587, 0.3803, 0.3292)
O (0.8786, 0.1219, 0.4126)
O (0.8369, 0.6101, 0.1656)
S (0.1535, 0.2621, 0.4298)
O (0.7226, 0.8592, 0.0779)
Fe (0.5041, 0.5151, 0.2491)
O (0.5393, 0.2225, 0.2004)
H (0.3353, 0.8011, 0.2057)
O (0.1561, 0.8402, 0.0804)
O (0.7732, 0.5972, 0.4319)
O (0.1214, 0.8781, 0.5874)
H (0.6009, 0.9068, 0.3212)
H (0.5092, 0.1889, 0.2848)
H (0.3909, 0.1164, 0.1301)

=====

Co3B11HO20 | GGA+U | relaxed

- calculated total energy (eV/cell) = -1062.20
- mass density (Mg/m³) = 3.64
- E_form (eV per atom) = -2.49

Unit cell a=7.7490 b=8.2437 c=17.6218 alpha=90.00 beta=90.00 gamma=90.00
Fractional positions:
B (0.6610, 0.5868, 0.1344)
O (0.0000, 0.3001, 0.4064)
B (0.1644, 0.1483, 0.5582)
O (0.5000, 0.1672, 0.7488)
H (0.6074, 0.6233, 0.3340)
Co (0.0000, 0.6744, 0.8434)
O (0.5000, 0.2058, 0.1855)
O (0.1652, 0.0939, 0.4782)
O (0.6915, 0.8889, 0.8423)
O (0.1937, 0.6768, 0.9247)
O (0.5000, 0.5848, 0.7467)
O (0.3034, 0.6702, 0.0579)
O (0.6952, 0.3693, 0.6894)
B (0.3370, 0.0856, 0.9613)
B (0.3328, 0.8982, 0.5951)
O (0.0000, 0.6058, 0.5086)
O (0.3039, 0.8750, 0.2726)
O (0.8258, 0.6179, 0.3151)
B (0.1672, 0.1018, 0.0951)
B (0.6687, 0.3991, 0.4995)
B (0.6686, 0.3509, 0.0390)
B (0.1687, 0.6009, 0.9995)
B (0.1689, 0.7140, 0.6854)
O (0.3013, 0.5732, 0.4940)
O (0.8083, 0.1183, 0.9116)
O (0.8048, 0.6307, 0.1894)
Co (0.5000, 0.2269, 0.6270)
H (0.8926, 0.3767, 0.8340)
O (0.3085, 0.8889, 0.8423)
O (0.6917, 0.8817, 0.4116)
O (0.8062, 0.9259, 0.0984)
O (0.6966, 0.6702, 0.0579)
B (0.8390, 0.4132, 0.6344)
B (0.3314, 0.3509, 0.0390)
O (0.1971, 0.8294, 0.5393)
B (0.8349, 0.4937, 0.2533)
O (0.1938, 0.9259, 0.0984)
B (0.3313, 0.3991, 0.4995)
O (0.5000, 0.8927, 0.0935)
O (0.6987, 0.5732, 0.4940)
O (0.5000, 0.8543, 0.5635)
B (0.1750, 0.0186, 0.8427)
Co (0.5000, 0.4399, 0.8988)
B (0.1610, 0.4132, 0.6344)
B (0.8311, 0.7140, 0.6854)
O (0.3196, 0.4087, 0.1192)
O (0.1952, 0.6307, 0.1894)
B (0.8250, 0.0186, 0.8427)
Co (0.5000, 0.8547, 0.7564)
Co (0.0000, 0.2641, 0.9598)
O (0.0000, 0.7942, 0.6855)
O (0.8029, 0.8294, 0.5393)
B (0.3356, 0.8517, 0.0582)
B (0.1651, 0.4937, 0.2533)
Co (0.0000, 0.5601, 0.3988)
B (0.1686, 0.6491, 0.5390)
O (0.3348, 0.9061, 0.9782)
O (0.0000, 0.1073, 0.5935)
B (0.8356, 0.1483, 0.5582)
O (0.1961, 0.1250, 0.7726)
O (0.1987, 0.4268, 0.9940)
Co (0.0000, 0.7731, 0.1270)
B (0.3352, 0.7894, 0.9100)
O (0.6961, 0.8750, 0.2726)
O (0.3067, 0.3813, 0.2540)
O (0.6933, 0.3813, 0.2540)
O (0.3063, 0.3232, 0.4247)
Co (0.5000, 0.7359, 0.4598)
O (0.1804, 0.5913, 0.6192)
B (0.3250, 0.9814, 0.3427)
O (0.6652, 0.9061, 0.9782)
B (0.1648, 0.2106, 0.4100)
O (0.1915, 0.1111, 0.3423)
O (0.6742, 0.3821, 0.8151)
B (0.3349, 0.5063, 0.7533)
O (0.0000, 0.9416, 0.8338)
O (0.5000, 0.0584, 0.3338)
O (0.1917, 0.1183, 0.9116)
B (0.8370, 0.9144, 0.4613)
O (0.3029, 0.1706, 0.0393)
O (0.5000, 0.6282, 0.1657)
O (0.3048, 0.3693, 0.6894)
B (0.6651, 0.5063, 0.7533)
B (0.1697, 0.7600, 0.2632)
B (0.1630, 0.9144, 0.4613)
O (0.3258, 0.3821, 0.8151)
O (0.8034, 0.3298, 0.5579)
B (0.6644, 0.8517, 0.0582)
O (0.3049, 0.8324, 0.6719)
B (0.6697, 0.2400, 0.7632)
O (0.8063, 0.6768, 0.9247)
O (0.0000, 0.4152, 0.2467)
O (0.8039, 0.1250, 0.7726)
O (0.8049, 0.1676, 0.1719)
B (0.6750, 0.9814, 0.3427)
O (0.0000, 0.8328, 0.2488)
O (0.8196, 0.5913, 0.6192)
B (0.8314, 0.6491, 0.5390)
O (0.8013, 0.4268, 0.9940)
O (0.8085, 0.1111, 0.3423)
O (0.0000, 0.1457, 0.0635)
O (0.1742, 0.6179, 0.3151)
H (0.3926, 0.6233, 0.3340)
B (0.8328, 0.1018, 0.0951)
B (0.6672, 0.8982, 0.5951)
O (0.6804, 0.4087, 0.1192)
B (0.6630, 0.0856, 0.9613)
Co (0.5000, 0.9612, 0.2048)
O (0.0000, 0.8640, 0.4308)
O (0.3083, 0.8817, 0.4116)
B (0.6689, 0.2860, 0.1854)
B (0.8303, 0.7600, 0.2632)
O (0.0000, 0.6396, 0.0318)
Co (0.5000, 0.3256, 0.3434)
O (0.0000, 0.4116, 0.8604)
O (0.6971, 0.1706, 0.0393)
O (0.1951, 0.1676, 0.1719)
B (0.8352, 0.2106, 0.4100)
O (0.8348, 0.0939, 0.4782)
O (0.5000, 0.1360, 0.9308)
O (0.8067, 0.6187, 0.7540)
O (0.3062, 0.0741, 0.5984)
H (0.1074, 0.3767, 0.8340)
O (0.6951, 0.8324, 0.6719)
O (0.1933, 0.6187, 0.7540)
B (0.8313, 0.6009, 0.9995)
O (0.5000, 0.5884, 0.3604)
B (0.3303, 0.2400, 0.7632)
B (0.6648, 0.7894, 0.9100)
O (0.6937, 0.3232, 0.4247)
O (0.6938, 0.0741, 0.5984)
O (0.5000, 0.6999, 0.9064)
B (0.3311, 0.2860, 0.1854)
O (0.5000, 0.3942, 0.0086)
Co (0.0000, 0.0388, 0.7048)
Co (0.0000, 0.1453, 0.2564)
O (0.1966, 0.3298, 0.5579)
B (0.3390, 0.5868, 0.1344)
O (0.0000, 0.3718, 0.6657)
O (0.5000, 0.3604, 0.5318)

=====

NiH12Br2O14 | GGA+U | relaxed

- calculated total energy (eV/cell) = -123.09
- mass density (Mg/m³) = 2.13
- E_form (eV per atom) = -0.56
- distance to the lowest polymorph of the same formula (kJ/mol of atoms) = 34.3

Unit cell a=6.0531 b=8.1441 c=8.2260 alpha=119.09 beta=89.63 gamma=90.77
Fractional positions:
O (0.3138, 0.3752, 0.9500)
H (0.2703, 0.7091, 0.7031)
H (0.7297, 0.2909, 0.2969)
H (0.6728, 0.0571, 0.5493)
O (0.7279, 0.1092, 0.9372)
H (0.6842, 0.4460, 0.5050)
H (0.3158, 0.5540, 0.4950)
O (0.6866, 0.4263, 0.3772)
Ni (0.5000, 0.0000, 0.0000)
O (0.3162, 0.0512, 0.4295)
H (0.6782, 0.4965, 0.9441)
O (0.2741, 0.1659, 0.1129)
O (0.3134, 0.5737, 0.6228)
H (0.7335, 0.7071, 0.9959)
H (0.7240, 0.0026, 0.7055)
H (0.2665, 0.2929, 0.0041)
Br (0.0620, 0.3236, 0.6657)
O (0.6862, 0.6248, 0.0500)
H (0.3218, 0.5035, 0.0559)
O (0.6838, 0.9488, 0.5705)
O (0.7218, 0.0587, 0.1707)
O (0.2721, 0.8908, 0.0628)
O (0.7810, 0.3398, 0.6704)
O (0.2190, 0.6602, 0.3296)
O (0.2782, 0.9413, 0.8293)
Br (0.9380, 0.6764, 0.3343)
O (0.7259, 0.8341, 0.8871)
H (0.3272, 0.9429, 0.4507)
H (0.2760, 0.9974, 0.2945)